Entry 1:
First-principles (PBE) data for crystalline Co2C3N6 at its relaxed geometry, as listed in the Materials Project.

Unit cell a=8.7119 b=2.9729 c=5.0248 alpha=90.00 beta=65.63 gamma=80.18
Closest atoms and distances in Å follow each position.
Fractional positions:
Co  0.3421  0.8289  0.0109  6 N 1.85-2.03
Co  0.6579  0.1711  0.9891  6 N 1.85-2.03
C  0.6486  0.6757  0.5033  2 N 1.21-1.27
C  0.3514  0.3243  0.4967  2 N 1.21-1.27
C  0.0000  0.0000  0.5000  2 N 1.23
N  0.3244  0.3378  0.7527  1 C 1.21
N  0.6756  0.6622  0.2473  1 C 1.21
N  0.3986  0.3007  0.2209  1 C 1.27
N  0.6014  0.6993  0.7791  1 C 1.27
N  0.1089  0.9456  0.2451  1 C 1.23
N  0.8911  0.0544  0.7549  1 C 1.23

Output
Offset from the most stable computed form ... 105 meV/atom
Total energy after the MP2020 corrections ... -8.1691 eV/atom
Spin magnetization ... 0.01 μB per cell
Total DFT energy (no corrections) ... -7.972 eV per atom
Calculated formation energy ... 187 meV per atom
V ... 116.45 Å³/f.u.


Entry 2:
First-principles (PBE) data for crystalline Li3TiP2O8 at its relaxed geometry, as listed in the Materials Project.

Unit cell a=18.0280 b=4.9939 c=7.8352 alpha=53.94 beta=90.00 gamma=90.00
Closest atoms and distances in Å follow each position.
Fractional positions:
Li  0.6988  0.3793  0.8106  4 O 2.00-2.24
Li  0.8775  0.7150  0.5040  4 O 2.00-2.15
Li  0.0508  0.9655  0.2933  3 O 1.99-2.22
Li  0.3775  0.2850  0.9960  4 O 2.00-2.15
Li  0.5508  0.0345  0.2067  3 O 1.99-2.22
Li  0.1988  0.6207  0.6894  4 O 2.00-2.24
Li  0.8012  0.3793  0.3106  4 O 2.00-2.24
Li  0.4492  0.9655  0.7933  3 O 1.99-2.22
Li  0.6225  0.7150  0.0040  4 O 2.00-2.15
Li  0.9492  0.0345  0.7067  3 O 1.99-2.22
Li  0.1225  0.2850  0.4960  4 O 2.00-2.15
Li  0.3012  0.6207  0.1894  4 O 2.00-2.24
Ti  0.8732  0.1939  0.0114  6 O 2.05-2.10
Ti  0.3732  0.8061  0.4886  6 O 2.05-2.10
Ti  0.6268  0.1939  0.5114  6 O 2.05-2.10
Ti  0.1268  0.8061  0.9886  6 O 2.05-2.10
P  0.7146  0.8962  0.2858  4 O 1.52-1.58
P  0.5364  0.5028  0.7263  4 O 1.51-1.58
P  0.0364  0.4972  0.7737  4 O 1.51-1.58
P  0.2146  0.1038  0.2142  4 O 1.52-1.58
P  0.7854  0.8962  0.7858  4 O 1.52-1.58
P  0.9636  0.5028  0.2263  4 O 1.51-1.58
P  0.4636  0.4972  0.2737  4 O 1.51-1.58
P  0.2854  0.1038  0.7142  4 O 1.52-1.58
O  0.1988  0.8232  0.1850  1 P 1.57
O  0.6917  0.5532  0.4898  1 P 1.56
O  0.4397  0.7997  0.2757  1 P 1.58
O  0.6719  0.9710  0.0949  1 P 1.52
O  0.0658  0.1683  0.9758  1 P 1.56
O  0.0662  0.5429  0.5776  1 P 1.51
O  0.8005  0.8700  0.2604  1 P 1.58
O  0.4489  0.4952  0.7266  1 P 1.58
O  0.9489  0.5048  0.7734  1 P 1.58
O  0.3005  0.1300  0.2396  1 P 1.58
O  0.5662  0.4571  0.9224  1 P 1.51
O  0.5658  0.8317  0.5242  1 P 1.56
O  0.1719  0.0290  0.4051  1 P 1.52
O  0.9397  0.2003  0.2243  1 P 1.58
O  0.1917  0.4468  0.0102  1 P 1.56
O  0.6988  0.1768  0.3150  1 P 1.57
O  0.3012  0.8232  0.6850  1 P 1.57
O  0.8083  0.5532  0.9898  1 P 1.56
O  0.0603  0.7997  0.7757  1 P 1.58
O  0.8281  0.9710  0.5949  1 P 1.52
O  0.4342  0.1683  0.4758  1 P 1.56
O  0.4338  0.5429  0.0776  1 P 1.51
O  0.6995  0.8700  0.7604  1 P 1.58
O  0.0511  0.4952  0.2266  1 P 1.58
O  0.5511  0.5048  0.2734  1 P 1.58
O  0.1995  0.1300  0.7396  1 P 1.58
O  0.9338  0.4571  0.4224  1 P 1.51
O  0.9342  0.8317  0.0242  1 P 1.56
O  0.3281  0.0290  0.9051  1 P 1.52
O  0.5603  0.2003  0.7243  1 P 1.58
O  0.3083  0.4468  0.5102  1 P 1.56
O  0.8012  0.1768  0.8150  1 P 1.57

Output
Offset from the most stable computed form ... 4 meV/atom
Total energy after the MP2020 corrections ... -7.3806 eV/atom
Spin magnetization ... 4.02 μB per cell
Total DFT energy (no corrections) ... -6.988 eV per atom
Calculated formation energy ... -2807 meV per atom
V ... 142.56 Å³/f.u.


Entry 3:
First-principles (PBE) data for crystalline SrY2O4 at its relaxed geometry, as listed in the Materials Project.

Unit cell a=3.4360 b=10.1910 c=12.0361 alpha=90.00 beta=90.00 gamma=90.00
Closest atoms and distances in Å follow each position.
Fractional positions:
Sr  0.7500  0.2537  0.8509  8 O 2.62-2.92
Sr  0.2500  0.7463  0.1491  8 O 2.62-2.92
Sr  0.7500  0.7537  0.6491  8 O 2.62-2.92
Sr  0.2500  0.2463  0.3509  8 O 2.62-2.92
Y  0.2500  0.5778  0.8897  6 O 2.23-2.38
Y  0.7500  0.4222  0.1103  6 O 2.23-2.38
Y  0.2500  0.0778  0.6103  6 O 2.23-2.38
Y  0.7500  0.9222  0.3897  6 O 2.23-2.38
Y  0.7500  0.9243  0.8876  6 O 2.27-2.35
Y  0.2500  0.0757  0.1124  6 O 2.27-2.35
Y  0.7500  0.4243  0.6124  6 O 2.27-2.35
Y  0.2500  0.5757  0.3876  6 O 2.27-2.35
O  0.2500  0.5760  0.5770  3 Y 2.28-2.35
O  0.7500  0.4240  0.4230  3 Y 2.28-2.35
O  0.2500  0.0760  0.9230  3 Y 2.28-2.35
O  0.7500  0.9240  0.0770  3 Y 2.28-2.35
O  0.2500  0.4840  0.2161  3 Y 2.23-2.27
O  0.7500  0.5160  0.7839  3 Y 2.23-2.27
O  0.2500  0.9840  0.2839  3 Y 2.23-2.27
O  0.7500  0.0160  0.7161  3 Y 2.23-2.27
O  0.2500  0.8750  0.5209  3 Y 2.33-2.38
O  0.7500  0.1250  0.4791  3 Y 2.33-2.38
O  0.2500  0.3750  0.9791  3 Y 2.33-2.38
O  0.7500  0.6250  0.0209  3 Y 2.33-2.38
O  0.7500  0.7105  0.3256  3 Y 2.29-2.32
O  0.2500  0.2895  0.6744  3 Y 2.29-2.32
O  0.7500  0.2105  0.1744  3 Y 2.29-2.32
O  0.2500  0.7895  0.8256  3 Y 2.29-2.32

Output
Total energy after the MP2020 corrections ... -8.6277 eV/atom
Total DFT energy (no corrections) ... -8.235 eV per atom
Calculated formation energy ... -3711 meV per atom
V ... 105.37 Å³/f.u.